1.
# CaAgSn

A relaxed CaAgSn crystal (meta-GGA r2SCAN, Materials Project).

Values from the calculation:
* symmetry: P3m1

Lattice parameters (Å, degrees): 4.8043 4.8043 11.1202 90.00 90.00 120.00
Last column: nearest neighbours and their distance in Å.
Positions (direct):
Ca 0.0000 0.0000 0.0000  6 Ag 3.19-3.36, 6 Sn 3.34-3.47
Ca 0.0000 0.0000 0.3307  6 Sn 3.19-3.20, 6 Ag 3.47-3.48
Ca 0.0000 0.0000 0.6617  6 Ag 3.20-3.34, 6 Sn 3.36-3.47
Ag 0.3333 0.6667 0.1418  3 Sn 2.82
Ag 0.3333 0.6667 0.5176  3 Sn 2.82
Ag 0.6667 0.3333 0.8291  3 Sn 2.77
Sn 0.3333 0.6667 0.8323  3 Ag 2.77
Sn 0.6667 0.3333 0.1882  3 Ag 2.82
Sn 0.6667 0.3333 0.4739  3 Ag 2.82

=====

2.
# HoCo3

A relaxed HoCo3 crystal (meta-GGA r2SCAN, Materials Project).

Values from the calculation:
* symmetry: R-3m

Lattice parameters (Å, degrees): 8.4969 8.4969 8.4969 34.17 34.17 34.17
Last column: nearest neighbours and their distance in Å.
Positions (direct):
Ho 0.0000 0.0000 0.0000  18 Co 2.89-3.16
Ho 0.1419 0.1419 0.1419  12 Co 2.90-3.05, 3 Ho 3.12
Ho 0.8581 0.8581 0.8581  12 Co 2.90-3.05, 3 Ho 3.12
Co 0.0924 0.5748 0.5748  7 Co 2.35-2.58
Co 0.3284 0.3284 0.3284  6 Co 2.35-2.48
Co 0.4252 0.4252 0.9076  7 Co 2.35-2.58
Co 0.4252 0.9076 0.4252  7 Co 2.35-2.58
Co 0.5000 0.5000 0.5000  6 Co 2.49
Co 0.5748 0.0924 0.5748  7 Co 2.35-2.58
Co 0.5748 0.5748 0.0924  7 Co 2.35-2.58
Co 0.6716 0.6716 0.6716  6 Co 2.35-2.48
Co 0.9076 0.4252 0.4252  7 Co 2.35-2.58

=====

3.
# CaLu2S4

A relaxed CaLu2S4 crystal (meta-GGA r2SCAN, Materials Project).

Values from the calculation:
* symmetry: Pnma

Lattice parameters (Å, degrees): 12.7360 3.8220 12.9314 90.00 90.00 90.00
Last column: nearest neighbours and their distance in Å.
Positions (direct):
Ca 0.1317 0.2500 0.0836  7 S 2.86-2.98
Ca 0.3683 0.7500 0.5836  7 S 2.86-2.98
Ca 0.6317 0.2500 0.4164  7 S 2.86-2.98
Ca 0.8683 0.7500 0.9164  7 S 2.86-2.98
Lu 0.1064 0.7500 0.4168  6 S 2.66-2.76
Lu 0.1472 0.7500 0.7977  6 S 2.64-2.73
Lu 0.3528 0.2500 0.2977  6 S 2.64-2.73
Lu 0.3936 0.2500 0.9168  6 S 2.66-2.76
Lu 0.6064 0.7500 0.0832  6 S 2.66-2.76
Lu 0.6472 0.7500 0.7023  6 S 2.64-2.73
Lu 0.8528 0.2500 0.2023  6 S 2.64-2.73
Lu 0.8936 0.2500 0.5832  6 S 2.66-2.76
S 0.0314 0.2500 0.8806  2 Lu 2.64, 3 Ca 2.86-2.92
S 0.0342 0.7500 0.6179  4 Lu 2.66-2.76
S 0.2176 0.7500 0.2390  3 Lu 2.68-2.70, 2 Ca 2.98
S 0.2409 0.2500 0.4724  3 Lu 2.67, 2 Ca 2.89
S 0.2591 0.7500 0.9724  3 Lu 2.67, 2 Ca 2.89
S 0.2824 0.2500 0.7390  3 Lu 2.68-2.70, 2 Ca 2.98
S 0.4658 0.2500 0.1179  4 Lu 2.66-2.76
S 0.4686 0.7500 0.3806  2 Lu 2.64, 3 Ca 2.86-2.92
S 0.5314 0.2500 0.6194  2 Lu 2.64, 3 Ca 2.86-2.92
S 0.5342 0.7500 0.8821  4 Lu 2.66-2.76
S 0.7176 0.7500 0.2610  3 Lu 2.68-2.70, 2 Ca 2.98
S 0.7409 0.2500 0.0276  3 Lu 2.67, 2 Ca 2.89
S 0.7591 0.7500 0.5276  3 Lu 2.67, 2 Ca 2.89
S 0.7824 0.2500 0.7610  3 Lu 2.68-2.70, 2 Ca 2.98
S 0.9658 0.2500 0.3821  4 Lu 2.66-2.76
S 0.9686 0.7500 0.1194  2 Lu 2.64, 3 Ca 2.86-2.92

=====

4.
# PmAlAu2

A relaxed PmAlAu2 crystal (meta-GGA r2SCAN, Materials Project).

Values from the calculation:
* symmetry: Fm-3m

Lattice parameters (Å, degrees): 4.8836 4.8836 4.8836 60.00 60.00 60.00
Last column: nearest neighbours and their distance in Å.
Positions (direct):
Pm 0.0000 0.0000 0.0000  8 Au 2.99
Al 0.5000 0.5000 0.5000  8 Au 2.99
Au 0.2500 0.2500 0.2500  4 Al 2.99, 4 Pm 2.99
Au 0.7500 0.7500 0.7500  4 Pm 2.99, 4 Al 2.99

=====

Number 1: total DFT energy (no corrections) -18.2783 eV per atom, total moment 0.00 μB/f.u.. Number 2: total DFT energy (no corrections) -18.2806 eV per atom, total moment 3.94 μB/f.u.. Number 3: total DFT energy (no corrections) -18.8770 eV per atom, total moment 0.00 μB/f.u.. Number 4: total DFT energy (no corrections) -35.0728 eV per atom, total moment 0.00 μB/f.u..